## one
Here is crystalline Li2CoOF3 at its relaxed geometry from the Materials Project. Energies are from PBE with a Hubbard U.

```
28
Lattice="5.895 0.000 0.000 0.000 5.895 0.000 0.000 0.000 8.589" Properties=species:S:1:pos:R:3 pbc="T T T"
F 5.833 4.373 2.235
F 1.463 2.898 8.551
F 0.062 1.522 6.530
F 2.770 1.374 6.443
F 4.432 2.997 4.257
F 1.522 5.833 4.383
F 1.374 3.125 4.295
F 4.521 2.770 0.001
F 4.373 0.062 0.088
F 2.898 4.432 6.404
F 2.997 1.463 2.109
F 3.125 4.521 2.148
Li 2.945 4.368 4.299
Li 4.368 2.950 2.152
Li 2.950 1.526 0.005
Li 4.470 4.379 7.516
Li 1.526 2.945 6.446
Li 1.516 4.470 1.074
Li 4.379 1.425 5.369
Li 1.425 1.516 3.221
Co 4.478 0.099 2.244
Co 0.099 1.417 0.097
Co 1.417 5.796 6.539
Co 5.796 4.478 4.392
O 4.555 5.729 4.142
O 5.729 1.340 1.994
O 1.340 0.165 8.436
O 0.165 4.555 6.289
```

Results
crystal system = tetragonal
M_tot = 0.00 μB per cell
piezoelectric modulus e_max = 0.52 C/m2

=====

## two
Here is crystalline Li2CoOF3 at its relaxed geometry from the Materials Project. Energies are from PBE with a Hubbard U.

```
28
Lattice="-5.312 -0.639 0.234 -1.878 -6.629 -4.262 -1.472 -5.838 5.096" Properties=species:S:1:pos:R:3 pbc="T T T"
F -5.350 -6.554 -2.694
F -1.401 -3.760 -0.161
F -4.741 -7.115 2.534
F -4.957 -4.329 1.980
F -4.376 -9.351 -1.652
F -6.829 -9.274 3.145
F -2.491 -5.839 1.869
F -5.823 -7.387 0.137
F -2.963 -6.672 4.700
F -5.733 -10.313 0.373
F -3.976 -10.242 2.280
F -2.288 -7.191 -2.263
O -8.220 -11.877 0.048
O -3.063 -8.160 0.499
O -3.889 -5.324 -0.486
O -4.044 -2.246 0.199
Li -4.266 -5.398 3.571
Li -1.813 -5.474 -1.225
Li -4.056 -7.909 -2.857
Li -1.549 -4.209 1.870
Li -6.356 -8.984 -0.995
Li -4.408 -4.924 -2.693
Li -6.509 -7.833 1.940
Li -3.497 -8.269 3.567
Co -4.000 -6.597 0.769
Co -4.846 -3.780 0.013
Co -3.865 -9.694 0.313
Co -6.859 -7.312 -3.794
```

Results
M_tot = 0.00 μB per cell

=====

## three
Here is crystalline Li2CoOF3 at its relaxed geometry from the Materials Project. Energies are from PBE with a Hubbard U.

```
14
Lattice="4.339 -0.741 -3.642 5.306 0.120 2.115 -0.054 -5.103 0.773" Properties=species:S:1:pos:R:3 pbc="T T T"
Li 7.531 -0.748 -1.988
Li 1.952 -2.508 0.971
Li 7.935 -2.953 0.032
Li 1.793 -5.214 -0.356
F 3.643 -4.238 0.722
F 8.362 -4.833 0.143
F 6.173 -1.287 -0.144
F 6.441 -3.262 1.531
F 1.494 -0.656 0.672
F 3.830 -1.857 1.759
O 5.633 -4.019 -0.975
O 3.757 -1.885 -0.979
Co 4.911 -2.760 0.308
Co 4.681 -0.437 -1.609
```

Results
crystal system = monoclinic
M_tot = 4.00 μB per cell

=====

Energetically preferred structure: one | next structure: +3.7 kJ/mol of atoms

=====

## one
Here is crystalline Li5Co7O3F13 at its relaxed geometry from the Materials Project. Energies are from PBE with a Hubbard U.

```
28
Lattice="-2.511 -4.880 2.588 4.339 3.134 3.007 -6.771 7.938 1.330" Properties=species:S:1:pos:R:3 pbc="T T T"
Li -1.060 5.568 2.328
Li -5.788 3.520 4.667
Li -9.147 3.008 3.921
Li -1.252 -1.506 3.076
Li -2.425 4.054 5.454
O -4.753 5.008 1.560
O 0.526 5.368 3.526
O -2.840 -1.318 1.864
F -6.517 5.290 3.798
F -5.195 7.837 2.688
F -4.297 6.931 5.180
F -1.045 2.942 4.556
F -6.004 2.686 2.804
F 0.769 2.593 2.241
F -1.869 3.794 1.904
F -3.162 9.296 4.004
F -2.594 6.673 3.003
F -3.119 1.489 3.136
F -0.417 0.272 3.458
F -1.256 1.084 0.801
F -3.926 4.129 4.141
Co -2.262 7.583 4.857
Co 1.660 0.869 3.194
Co -1.182 2.040 2.682
Co -4.040 3.267 2.158
Co 1.008 3.589 4.209
Co -4.538 5.923 3.278
Co -0.244 1.151 5.493
```

Results
crystal system = triclinic
M_tot = 21.00 μB per cell

=====

## two
Here is crystalline Li5Co7O3F13 at its relaxed geometry from the Materials Project. Energies are from PBE with a Hubbard U.

```
28
Lattice="6.038 0.000 0.000 3.001 5.300 0.000 3.009 1.776 9.989" Properties=species:S:1:pos:R:3 pbc="T T T"
F 4.555 2.576 3.693
F 9.004 5.374 3.674
F 6.134 3.461 1.288
F 1.515 0.943 1.316
F 7.545 4.503 6.247
F 5.848 1.739 6.257
F 7.518 6.170 8.629
F 4.573 0.906 1.321
F 4.512 4.483 6.312
F 2.868 3.445 1.351
F 10.528 6.156 8.679
F 3.054 1.683 6.314
F 7.560 2.655 3.697
Co 7.471 4.435 2.578
Co 4.457 4.328 9.907
Co 7.560 2.819 9.250
Co 3.001 1.688 2.580
Co 7.497 6.153 4.947
Co 6.027 5.226 7.514
Co 4.500 2.716 7.589
Li 4.582 4.470 4.344
Li 9.014 5.230 7.491
Li 6.072 1.776 2.525
Li 4.516 4.379 0.644
Li 7.473 2.621 5.635
O 6.197 5.399 3.690
O 5.926 3.660 8.692
O 9.166 3.609 8.672
```

Results
crystal system = triclinic
M_tot = 21.00 μB per cell

=====

Energetically preferred structure: two | next structure: +5.4 kJ/mol of atoms

=====

## one
Here is crystalline Li3Co2OF5 at its relaxed geometry from the Materials Project. Energies are from PBE with a Hubbard U.

```
22
Lattice="0.000 4.212 8.877 2.996 0.000 8.877 2.996 4.212 0.000" Properties=species:S:1:pos:R:3 pbc="T T T"
F 2.986 6.291 11.845
F 3.007 6.291 5.910
F 1.460 4.048 10.325
F 4.533 4.048 7.430
F 2.996 2.229 8.877
F 2.986 2.133 5.910
F 2.996 6.195 8.877
F 4.533 4.375 10.325
F 3.007 2.133 11.845
F 1.460 4.375 7.430
Co 2.996 4.212 8.877
Co 4.494 6.318 13.316
Co 2.996 4.212 14.668
Co 2.996 4.212 3.087
O 4.494 4.294 13.316
O 4.494 8.341 13.316
Li 2.996 4.212 11.859
Li 2.996 4.212 5.896
Li 1.498 2.106 4.439
Li 0.000 0.000 0.000
Li 4.494 6.318 10.176
Li 4.494 6.318 16.456
```

Results
crystal system = orthorhombic
M_tot = 12.00 μB per cell

=====

## two
Here is crystalline Li3Co2OF5 at its relaxed geometry from the Materials Project. Energies are from PBE with a Hubbard U.

```
22
Lattice="-2.072 2.139 4.179 2.151 -2.069 4.184 4.189 8.380 0.110" Properties=species:S:1:pos:R:3 pbc="T T T"
F 2.101 7.430 5.447
F 4.267 5.231 5.135
F 2.124 5.276 3.291
F 2.191 3.181 5.449
F 2.063 3.206 0.954
F 4.310 7.334 7.355
F 4.272 7.376 3.240
F 2.099 1.026 3.165
F 2.154 5.308 7.277
F 0.076 3.152 3.234
Li 0.053 3.242 5.293
Li 2.295 3.348 7.382
Li 2.107 5.251 1.128
Li 4.093 5.135 3.201
Li 0.067 1.048 3.161
Li 4.207 7.375 5.297
O -0.018 1.112 0.942
O 0.006 1.125 5.351
Co 2.135 5.305 5.286
Co 0.146 1.032 7.327
Co 4.287 7.530 1.075
Co 1.975 1.012 5.332
```

Results
crystal system = triclinic
M_tot = 12.00 μB per cell

=====

Energetically preferred structure: one | next structure: +2.8 kJ/mol of atoms